Entry 1:
{"formula": "Zn9Fe15O32", "functional": "PBE+U", "state": "relaxed", "energy_mp2020_ev_per_cell": -388.492, "crystal_system": "triclinic", "formation_enthalpy_0k_ev_per_atom": -1.639, "cell": [[-2.414, 4.698, -2.867], [2.411, -4.545, -3.176], [-18.318, -7.498, 2.754]], "species": ["O", "O", "O", "Fe", "O", "O", "Zn", "Fe", "Zn", "O", "Fe", "O", "O", "O", "Fe", "Zn", "O", "Fe", "Fe", "O", "Zn", "O", "O", "Zn", "Fe", "O", "O", "O", "Zn", "O", "Fe", "O", "O", "O", "O", "O", "O", "Fe", "Zn", "Zn", "O", "Fe", "Fe", "O", "Zn", "O", "O", "O", "Fe", "O", "Fe", "O", "Fe", "Fe", "O", "O"], "frac_coords": [[0.045, 0.558, 0.094], [0.779, 0.068, 0.848], [0.162, 0.343, 0.966], [0.502, 0.010, 0.499], [0.782, 0.546, 0.846], [0.408, 0.830, 0.716], [0.471, 0.442, 0.408], [0.246, 0.503, 0.748], [0.595, 0.187, 0.781], [0.789, 0.580, 0.349], [0.970, 0.437, 0.906], [0.797, 0.061, 0.344], [0.151, 0.301, 0.466], [0.399, 0.798, 0.214], [0.943, 0.872, 0.814], [0.971, 0.442, 0.408], [0.924, 0.315, 0.220], [0.468, 0.935, 0.905], [0.753, 0.507, 0.252], [0.626, 0.804, 0.967], [0.469, 0.438, 0.906], [0.657, 0.298, 0.963], [0.149, 0.821, 0.466], [0.843, 0.689, 0.531], [0.219, 0.937, 0.656], [0.519, 0.041, 0.092], [0.410, 0.304, 0.714], [0.916, 0.833, 0.220], [0.217, 0.937, 0.156], [0.263, 0.061, 0.343], [0.344, 0.687, 0.030], [0.028, 0.571, 0.599], [0.030, 0.045, 0.597], [0.166, 0.794, 0.965], [0.392, 0.316, 0.220], [0.512, 0.556, 0.093], [0.892, 0.313, 0.716], [0.093, 0.186, 0.281], [0.998, 0.005, 0.000], [0.719, 0.936, 0.156], [0.280, 0.573, 0.846], [0.190, 0.370, 0.564], [0.217, 0.434, 0.156], [0.295, 0.061, 0.847], [0.718, 0.937, 0.656], [0.667, 0.332, 0.467], [0.528, 0.074, 0.598], [0.544, 0.560, 0.597], [0.719, 0.438, 0.656], [0.269, 0.539, 0.344], [0.685, 0.367, 0.061], [0.039, 0.077, 0.102], [0.969, 0.940, 0.408], [0.434, 0.867, 0.312], [0.909, 0.802, 0.715], [0.670, 0.823, 0.467]]}


Entry 2:
{"formula": "K3Mn2F7", "functional": "PBE+U", "state": "relaxed", "energy_mp2020_ev_per_cell": -71.133, "crystal_system": "tetragonal", "formation_enthalpy_0k_ev_per_atom": -3.006, "cell": [[-2.130, 2.130, 10.940], [2.130, -2.130, 10.940], [2.130, 2.130, -10.940]], "species": ["Mn", "F", "F", "F", "Mn", "F", "F", "K", "F", "K", "F", "K"], "frac_coords": [[0.098, 0.098, 0.000], [0.404, 0.904, 0.500], [0.000, 0.000, 0.000], [0.805, 0.805, 0.000], [0.902, 0.902, 0.000], [0.596, 0.096, 0.500], [0.195, 0.195, 0.000], [0.685, 0.685, 0.000], [0.096, 0.596, 0.500], [0.315, 0.315, 0.000], [0.904, 0.404, 0.500], [0.500, 0.500, 0.000]]}


What did the first record say?
{"formula": "Zn9Fe15O32", "functional": "PBE+U", "state": "relaxed", "energy_mp2020_ev_per_cell": -388.492, "crystal_system": "triclinic", "formation_enthalpy_0k_ev_per_atom": -1.639, "cell": [[-2.414, 4.698, -2.867], [2.411, -4.545, -3.176], [-18.318, -7.498, 2.754]], "species": ["O", "O", "O", "Fe", "O", "O", "Zn", "Fe", "Zn", "O", "Fe", "O", "O", "O", "Fe", "Zn", "O", "Fe", "Fe", "O", "Zn", "O", "O", "Zn", "Fe", "O", "O", "O", "Zn", "O", "Fe", "O", "O", "O", "O", "O", "O", "Fe", "Zn", "Zn", "O", "Fe", "Fe", "O", "Zn", "O", "O", "O", "Fe", "O", "Fe", "O", "Fe", "Fe", "O", "O"], "frac_coords": [[0.045, 0.558, 0.094], [0.779, 0.068, 0.848], [0.162, 0.343, 0.966], [0.502, 0.010, 0.499], [0.782, 0.546, 0.846], [0.408, 0.830, 0.716], [0.471, 0.442, 0.408], [0.246, 0.503, 0.748], [0.595, 0.187, 0.781], [0.789, 0.580, 0.349], [0.970, 0.437, 0.906], [0.797, 0.061, 0.344], [0.151, 0.301, 0.466], [0.399, 0.798, 0.214], [0.943, 0.872, 0.814], [0.971, 0.442, 0.408], [0.924, 0.315, 0.220], [0.468, 0.935, 0.905], [0.753, 0.507, 0.252], [0.626, 0.804, 0.967], [0.469, 0.438, 0.906], [0.657, 0.298, 0.963], [0.149, 0.821, 0.466], [0.843, 0.689, 0.531], [0.219, 0.937, 0.656], [0.519, 0.041, 0.092], [0.410, 0.304, 0.714], [0.916, 0.833, 0.220], [0.217, 0.937, 0.156], [0.263, 0.061, 0.343], [0.344, 0.687, 0.030], [0.028, 0.571, 0.599], [0.030, 0.045, 0.597], [0.166, 0.794, 0.965], [0.392, 0.316, 0.220], [0.512, 0.556, 0.093], [0.892, 0.313, 0.716], [0.093, 0.186, 0.281], [0.998, 0.005, 0.000], [0.719, 0.936, 0.156], [0.280, 0.573, 0.846], [0.190, 0.370, 0.564], [0.217, 0.434, 0.156], [0.295, 0.061, 0.847], [0.718, 0.937, 0.656], [0.667, 0.332, 0.467], [0.528, 0.074, 0.598], [0.544, 0.560, 0.597], [0.719, 0.438, 0.656], [0.269, 0.539, 0.344], [0.685, 0.367, 0.061], [0.039, 0.077, 0.102], [0.969, 0.940, 0.408], [0.434, 0.867, 0.312], [0.909, 0.802, 0.715], [0.670, 0.823, 0.467]]}